# 1
VASP calculation (meta-GGA r2SCAN) on a relaxed structure of PrCu4P2.

```
PrCu4P2
1.0
-1.449 -0.690 3.530
4.232 -10.160 -0.247
12.329 4.988 6.037
P Cu Pr
12 24 6
Direct
0.500 0.060 0.337
0.000 0.636 0.614
0.500 0.706 0.370
0.500 0.136 0.886
0.500 0.864 0.114
0.000 0.364 0.386
0.500 0.940 0.663
0.000 0.560 0.163
0.000 0.440 0.837
0.000 0.206 0.130
0.000 0.794 0.870
0.500 0.294 0.630
0.000 0.425 0.669
0.000 0.263 0.537
0.000 0.400 0.053
0.000 0.742 0.088
0.500 0.758 0.588
0.000 0.600 0.947
0.000 0.171 0.287
0.000 0.575 0.331
0.500 0.100 0.553
0.500 0.237 0.037
0.000 0.829 0.713
0.500 0.763 0.963
0.500 0.900 0.447
0.500 0.925 0.831
0.500 0.570 0.062
0.500 0.075 0.169
0.500 0.329 0.787
0.500 0.671 0.213
0.500 0.430 0.938
0.500 0.242 0.412
0.000 0.737 0.463
0.000 0.930 0.562
0.000 0.258 0.912
0.000 0.070 0.438
0.000 0.000 0.000
0.000 0.878 0.274
0.500 0.378 0.226
0.000 0.122 0.726
0.500 0.500 0.500
0.500 0.622 0.774
```

Summary:
- E_form (eV/atom) = -0.58
- space group = Pnnm

---

# 2
VASP calculation (meta-GGA r2SCAN) on a relaxed structure of K2Re3CS5N.

```
K2Re3CS5N
1.0
9.256 0.000 0.000
0.000 10.240 0.000
0.000 0.000 11.379
K N S Re C
8 4 20 12 4
Direct
0.954 0.250 0.250
0.777 0.928 0.000
0.223 0.072 0.000
0.777 0.572 0.500
0.046 0.750 0.250
0.046 0.750 0.750
0.223 0.428 0.500
0.954 0.250 0.750
0.921 0.178 0.000
0.921 0.322 0.500
0.079 0.822 0.000
0.079 0.678 0.500
0.650 0.092 0.287
0.650 0.408 0.213
0.288 0.250 0.250
0.350 0.908 0.287
0.350 0.592 0.213
0.650 0.092 0.713
0.492 0.789 0.000
0.350 0.592 0.787
0.712 0.750 0.250
0.197 0.094 0.500
0.803 0.594 0.000
0.650 0.408 0.787
0.350 0.908 0.713
0.197 0.406 0.000
0.508 0.211 0.000
0.288 0.250 0.750
0.712 0.750 0.750
0.508 0.289 0.500
0.492 0.711 0.500
0.803 0.906 0.500
0.419 0.394 0.115
0.419 0.106 0.385
0.663 0.396 0.000
0.419 0.394 0.885
0.581 0.894 0.615
0.337 0.896 0.500
0.581 0.606 0.115
0.581 0.606 0.885
0.663 0.104 0.500
0.581 0.894 0.385
0.419 0.106 0.615
0.337 0.604 0.000
0.834 0.262 0.000
0.834 0.238 0.500
0.166 0.738 0.000
0.166 0.762 0.500
```

Summary:
- E_form (eV/atom) = -0.77
- space group = Pmna